The following is a DFT calculation (PBE) of a relaxed structure of Na10Zr4Si9Sn4S3O48.

Calculated values
**SG**: P1, No. 1
**Energy relative to the elements**: -2.73 eV per atom
**Crystal system**: triclinic

a = 18.166 Å, b = 9.093 Å, c = 22.941 Å
α = 90.01°, β = 90.06°, γ = 119.89°
Atoms (fractional coordinates):
1 Zr 0.330 0.336 0.185
2 Zr 0.666 0.654 0.314
3 Zr 0.493 0.984 0.648
4 Zr 0.675 0.678 0.519
5 Zr 0.829 0.334 0.482
6 Zr 0.835 0.335 0.687
7 Zr 0.327 0.322 0.979
8 Zr 0.165 0.653 0.313
9 Zr 0.327 0.331 0.482
10 Zr 0.495 0.996 0.352
11 Zr 0.333 0.334 0.687
12 Zr 0.497 0.009 0.146
13 Si 0.499 0.705 0.752
14 Si 0.854 0.995 0.752
15 Si 0.856 0.705 0.249
16 Si 0.328 0.032 0.083
17 Si 0.690 0.337 0.082
18 Si 0.815 0.963 0.413
19 Si 0.161 0.950 0.916
20 Si 0.164 0.373 0.418
21 Si 0.328 0.624 0.583
22 Si 0.666 0.373 0.418
23 Si 0.500 0.300 0.249
24 Si 0.351 0.996 0.753
25 Si 0.525 0.378 0.917
26 Si 0.352 0.703 0.250
27 Si 0.020 0.379 0.917
28 Si 0.999 0.295 0.248
29 Si 0.183 0.035 0.585
30 Si 0.183 0.332 0.083
31 Si 0.312 0.667 0.915
32 Si 0.022 0.669 0.418
33 Si 0.312 0.959 0.415
34 Si 0.667 0.960 0.917
35 Si 0.831 0.037 0.084
36 Si 0.684 0.038 0.585
37 Si 0.832 0.628 0.584
38 Si 0.521 0.665 0.418
39 Si 0.001 0.706 0.752
40 O 0.918 0.023 0.087
41 O 0.407 0.981 0.411
42 O 0.765 0.704 0.254
43 O 0.743 0.129 0.643
44 O 0.513 0.836 0.411
45 O 0.257 0.824 0.756
46 O 0.322 0.506 0.638
47 O 0.923 0.355 0.924
48 O 0.989 0.798 0.090
49 O 0.826 0.509 0.640
50 O 0.082 0.990 0.911
51 O 0.925 0.550 0.030
52 O 0.938 0.356 0.635
53 O 0.672 0.500 0.078
54 O 0.088 0.021 0.590
55 O 0.230 0.152 0.245
56 O 0.155 0.850 0.254
57 O 0.855 0.160 0.026
58 O 0.024 0.827 0.693
59 O 0.080 0.484 0.254
60 O 0.348 0.157 0.027
61 O 0.584 0.183 0.410
62 O 0.088 0.693 0.757
63 O 0.227 0.309 0.024
64 O 0.593 0.216 0.699
65 O 0.244 0.361 0.138
66 O 0.145 0.833 0.973
67 O 0.579 0.460 0.977
68 O 0.569 0.503 0.861
69 O 0.438 0.516 0.134
70 O 0.416 0.518 0.745
71 O 0.324 0.502 0.922
72 O 0.687 0.496 0.361
73 O 0.578 0.699 0.477
74 O 0.166 0.494 0.079
75 O 0.567 0.633 0.363
76 O 0.845 0.516 0.244
77 O 0.089 0.156 0.088
78 O 0.730 0.306 0.746
79 O 0.669 0.844 0.581
80 O 0.658 0.851 0.253
81 O 0.325 0.149 0.423
82 O 0.186 0.497 0.361
83 O 0.079 0.707 0.477
84 O 0.429 0.307 0.529
85 O 0.487 0.181 0.307
86 O 0.911 0.784 0.310
87 O 0.691 0.886 0.858
88 O 0.410 0.034 0.812
89 O 0.583 0.488 0.253
90 O 0.248 0.618 0.859
91 O 0.090 0.209 0.698
92 O 0.437 0.357 0.634
93 O 0.017 0.215 0.190
94 O 0.991 0.180 0.590
95 O 0.909 0.029 0.813
96 O 0.247 0.142 0.923
97 O 0.407 0.787 0.310
98 O 0.981 0.175 0.307
99 O 0.941 0.517 0.135
100 O 0.242 0.847 0.079
101 O 0.908 0.296 0.243
102 O 0.734 0.155 0.246
103 O 0.837 0.156 0.746
104 O 0.518 0.828 0.695
105 O 0.608 0.023 0.303
106 O 0.407 0.836 0.911
107 O 0.063 0.490 0.859
108 O 0.513 0.208 0.192
109 O 0.771 0.837 0.469
110 O 0.154 0.463 0.754
111 O 0.754 0.146 0.922
112 O 0.107 0.026 0.304
113 O 0.760 0.636 0.863
114 O 0.930 0.305 0.530
115 O 0.511 0.186 0.911
116 O 0.734 0.314 0.024
117 O 0.416 0.811 0.588
118 O 0.242 0.637 0.579
119 O 0.091 0.976 0.198
120 O 0.595 0.168 0.088
121 O 0.228 0.146 0.526
122 O 0.909 0.978 0.412
123 O 0.417 0.022 0.088
124 O 0.108 0.189 0.804
125 O 0.015 0.842 0.410
126 O 0.648 0.831 0.972
127 O 0.490 0.183 0.590
128 O 0.825 0.516 0.923
129 O 0.751 0.355 0.423
130 O 0.928 0.501 0.424
131 O 0.067 0.634 0.363
132 O 0.755 0.884 0.356
133 O 0.851 0.546 0.526
134 O 0.489 0.795 0.811
135 O 0.141 0.454 0.474
136 O 0.775 0.697 0.969
137 O 0.274 0.713 0.972
138 O 0.248 0.352 0.423
139 O 0.589 0.696 0.754
140 O 0.827 0.152 0.423
141 O 0.341 0.515 0.244
142 O 0.900 0.974 0.695
143 O 0.590 0.022 0.589
144 O 0.186 0.884 0.857
145 O 0.731 0.149 0.526
146 O 0.253 0.881 0.357
147 O 0.607 0.186 0.804
148 O 0.564 0.634 0.080
149 O 0.749 0.372 0.140
150 O 0.917 0.519 0.745
151 O 0.410 0.300 0.244
152 O 0.349 0.544 0.524
153 O 0.646 0.459 0.473
154 O 0.902 0.831 0.193
155 O 0.167 0.839 0.580
156 O 0.985 0.799 0.808
157 O 0.580 0.970 0.910
158 O 0.401 0.978 0.697
159 O 0.656 0.466 0.758
160 O 0.492 0.798 0.090
161 O 0.427 0.496 0.423
162 O 0.262 0.705 0.253
163 O 0.595 0.982 0.198
164 O 0.431 0.363 0.923
165 O 0.759 0.821 0.756
166 O 0.242 0.125 0.642
167 O 0.079 0.453 0.976
168 O 0.897 0.823 0.912
169 O 0.008 0.183 0.911
170 O 0.273 0.834 0.471
171 O 0.920 0.815 0.587
172 O 0.081 0.182 0.409
173 O 0.430 0.551 0.029
174 O 0.321 0.128 0.141
175 O 0.745 0.850 0.077
176 O 0.563 0.490 0.579
177 O 0.336 0.160 0.746
178 O 0.228 0.303 0.744
179 O 0.818 0.126 0.143
180 O 0.404 0.830 0.195
181 O 0.064 0.490 0.580
182 O 0.063 0.636 0.077
183 O 0.747 0.642 0.581
184 Na 0.343 0.343 0.832
185 Na 0.674 0.658 0.167
186 Na 0.845 0.346 0.833
187 Na 0.517 0.706 0.580
188 Na 0.506 0.010 0.998
189 Na 0.017 0.704 0.581
190 Na 0.851 0.041 0.913
191 Na 0.350 0.031 0.915
192 Na 0.165 0.306 0.919
193 Na 0.000 0.001 0.502
194 Na 0.984 0.304 0.414
195 Na 0.349 0.667 0.417
196 Na 0.677 0.675 0.666
197 Na 0.821 0.999 0.249
198 Na 0.666 0.027 0.419
199 Na 0.517 0.328 0.080
200 Na 0.684 0.995 0.747
201 Na 0.184 0.989 0.748
202 Na 0.485 0.305 0.414
203 Na 0.166 0.028 0.419
204 Na 0.340 0.352 0.332
205 Na 0.005 0.998 0.002
206 Na 0.502 0.002 0.501
207 Na 0.839 0.351 0.331
208 Na 0.850 0.668 0.415
209 Na 0.176 0.676 0.667
210 Na 0.484 0.666 0.914
211 Na 0.172 0.659 0.165
212 Na 0.016 0.329 0.081
213 Na 0.322 0.000 0.249
214 S 0.979 0.626 0.083
215 S 0.645 0.294 0.751
216 S 0.981 0.330 0.584
217 S 0.144 0.000 0.250
218 S 0.813 0.664 0.916
219 S 0.480 0.625 0.082
220 S 0.480 0.333 0.583
221 S 0.144 0.292 0.749
222 S 0.647 0.002 0.250
223 Sn 0.497 0.998 0.854
224 Sn 0.996 0.997 0.351
225 Sn 0.669 0.669 0.019
226 Sn 0.830 0.320 0.982
227 Sn 0.999 0.998 0.852
228 Sn 0.832 0.337 0.185
229 Sn 0.172 0.675 0.518
230 Sn 0.996 0.008 0.147
231 Sn 0.995 0.981 0.649
232 Sn 0.166 0.671 0.817
233 Sn 0.172 0.671 0.017
234 Sn 0.665 0.675 0.814

The following is a DFT calculation (PBE) of a relaxed structure of RbAs2Ir2.

Calculated values
**SG**: I4/mmm, No. 139
**Energy relative to the elements**: -0.45 eV per atom
**Crystal system**: tetragonal

a = 7.604 Å, b = 7.604 Å, c = 7.604 Å
α = 149.02°, β = 149.02°, γ = 44.38°
Atoms (fractional coordinates):
1 As 0.350 0.350 0.000
2 As 0.650 0.650 0.000
3 Ir 0.250 0.750 0.500
4 Ir 0.750 0.250 0.500
5 Rb 0.000 0.000 0.000

The following is a DFT calculation (PBE) of a relaxed structure of KTeO3.

Calculated values
**SG**: Pm-3m, No. 221
**Energy relative to the elements**: -1.64 eV per atom
**Crystal system**: cubic

a = 4.114 Å, b = 4.114 Å, c = 4.114 Å
α = 90.00°, β = 90.00°, γ = 90.00°
Atoms (fractional coordinates):
1 Te 0.500 0.500 0.500
2 O 0.500 0.500 0.000
3 O 0.500 0.000 0.500
4 O 0.000 0.500 0.500
5 K 0.000 0.000 0.000

The following is a DFT calculation (PBE) of a relaxed structure of LiPm3.

Calculated values
**SG**: Pm-3m, No. 221
**Energy relative to the elements**: 0.16 eV per atom
**Crystal system**: cubic

a = 4.999 Å, b = 4.999 Å, c = 4.999 Å
α = 90.00°, β = 90.00°, γ = 90.00°
Atoms (fractional coordinates):
1 Pm 0.500 0.500 0.000
2 Pm 0.500 0.000 0.500
3 Pm 0.000 0.500 0.500
4 Li 0.000 0.000 0.000

The following is a DFT calculation (PBE) of a relaxed structure of Mg6ZrZn.

Calculated values
**Energy relative to the elements**: 0.03 eV per atom
**Energy relative to the lowest polymorph listed for this composition**: 0.000 eV per atom

a = 4.947 Å, b = 6.259 Å, c = 11.143 Å
α = 90.00°, β = 90.00°, γ = 90.00°
Atoms (fractional coordinates):
1 Mg 0.000 0.746 0.082
2 Mg 0.500 0.245 0.921
3 Mg 0.000 0.246 0.582
4 Mg 0.000 0.500 0.829
5 Mg 0.500 0.255 0.421
6 Mg 0.000 0.254 0.082
7 Mg 0.500 0.755 0.921
8 Mg 0.500 0.000 0.168
9 Mg 0.500 0.745 0.421
10 Mg 0.500 0.500 0.668
11 Mg 0.000 0.754 0.582
12 Mg 0.000 0.000 0.329
13 Zr 0.500 0.000 0.678
14 Zr 0.500 0.500 0.178
15 Zn 0.000 0.000 0.818
16 Zn 0.000 0.500 0.318

The following is a DFT calculation (PBE) of a relaxed structure of GaPtO2.

Calculated values
**SG**: P6_3/mmc, No. 194
**Energy relative to the elements**: -1.53 eV per atom
**Crystal system**: hexagonal

a = 2.955 Å, b = 2.955 Å, c = 12.339 Å
α = 90.00°, β = 90.00°, γ = 120.00°
Atoms (fractional coordinates):
1 Pt 0.667 0.333 0.750
2 Pt 0.333 0.667 0.250
3 O 0.667 0.333 0.917
4 O 0.333 0.667 0.083
5 O 0.667 0.333 0.583
6 O 0.333 0.667 0.417
7 Ga 0.000 0.000 0.000
8 Ga 0.000 0.000 0.500